A | 36
Lattice="6.585 0.000 0.000 0.041 8.005 0.000 0.164 0.019 8.311" Properties=species:S:1:pos:R:3 comment="Na2Li2CoO4, relaxed, DFT GGA+U" spacegroup="No. 1" magmom_total_mub_per_fu=4.5 pbc="T T T"
Na 0.000 0.000 0.000
Na 0.233 3.838 3.880
Na 1.693 2.097 6.106
Na 1.780 5.997 2.197
Na 3.114 0.393 3.958
Na 3.377 4.027 8.167
Na 4.881 6.026 2.004
Na 5.076 2.078 5.998
Li 0.246 7.738 5.354
Li 1.764 5.994 7.175
Li 1.634 1.990 0.899
Li 3.275 0.177 1.262
Li 5.004 6.204 4.840
Li 4.912 2.003 0.863
Li 5.086 5.964 7.331
Li 6.691 4.235 6.752
Co 3.349 4.324 4.989
Co 3.462 7.926 7.168
Co 6.554 0.321 2.981
Co 6.568 3.956 0.774
O 0.094 1.466 4.355
O 1.493 0.366 1.973
O 1.555 3.829 1.485
O 1.885 7.790 6.348
O 1.878 4.420 6.083
O 3.352 2.635 4.508
O 3.301 6.538 0.057
O 3.455 1.511 8.048
O 3.438 5.712 3.835
O 4.956 4.540 5.968
O 4.986 7.664 6.229
O 4.956 3.851 1.357
O 5.060 0.411 1.956
O 6.538 6.656 3.718
O 6.740 5.660 8.299
O 6.735 2.437 8.017



B | 36
Lattice="6.497 0.000 0.000 0.000 8.392 0.000 -6.437 0.000 7.991" Properties=species:S:1:pos:R:3 comment="Na2Li2CoO4, relaxed, DFT GGA+U" spacegroup="No. 14" magmom_total_mub_per_fu=3.0 pbc="T T T"
Na -0.067 2.004 1.987
Na -3.285 2.192 5.982
Na 1.661 0.184 0.012
Na -1.557 4.012 4.008
Na 1.618 4.380 3.983
Na -1.601 8.208 7.979
Na 3.345 6.200 2.009
Na 0.127 6.388 6.004
Li -0.123 4.951 1.686
Li -3.341 7.637 5.681
Li 1.651 5.344 0.058
Li -1.567 7.244 4.053
Li 1.627 1.148 3.938
Li -1.591 3.048 7.934
Li 3.401 0.755 2.310
Li 0.183 3.441 6.305
Co -3.089 5.266 6.209
Co 0.129 7.322 2.213
Co -0.069 1.070 5.778
Co 3.150 3.126 1.782
O -4.708 4.438 6.314
O -1.489 8.150 2.319
O -3.019 6.013 4.557
O 0.199 6.575 0.561
O -0.044 6.024 3.464
O -3.262 6.564 7.460
O 1.752 4.249 1.645
O -1.466 8.339 5.640
O 1.526 0.053 2.351
O -1.692 4.143 6.346
O 3.322 1.828 0.531
O 0.104 2.368 4.527
O -0.139 1.817 7.430
O 3.080 2.379 3.434
O 1.550 0.242 5.672
O 4.768 3.954 1.677



Stability verdict: A, ahead by 17 meV/atom



A | 28
Lattice="6.095 0.000 0.000 0.000 6.095 0.000 0.000 0.000 8.661" Properties=species:S:1:pos:R:3 comment="LiNbCoO4, relaxed, DFT GGA+U" spacegroup="No. 95" magmom_total_mub_per_fu=3.0 pbc="T T T"
Li 0.000 1.451 0.000
Li 0.000 4.644 4.331
Li 1.451 0.000 2.165
Li 4.644 0.000 6.496
Nb 1.534 1.534 5.413
Nb 1.534 4.561 7.579
Nb 4.561 1.534 3.248
Nb 4.561 4.561 1.083
Co 1.506 3.048 2.165
Co 3.048 1.506 0.000
Co 3.048 4.589 4.331
Co 4.589 3.048 6.496
O 0.016 1.560 2.204
O 0.016 4.535 2.126
O 1.557 3.038 0.055
O 1.557 3.057 4.276
O 1.560 0.016 8.622
O 1.560 6.079 4.370
O 3.038 1.557 2.111
O 3.038 4.538 2.220
O 3.057 1.557 6.551
O 3.057 4.538 6.441
O 4.535 0.016 0.039
O 4.535 6.079 4.292
O 4.538 3.038 8.607
O 4.538 3.057 4.385
O 6.079 1.560 6.457
O 6.079 4.535 6.535



B | 28
Lattice="-0.790 5.543 2.283 -5.105 -1.938 2.937 4.843 -2.184 6.977" Properties=species:S:1:pos:R:3 comment="LiNbCoO4, relaxed, DFT GGA+U" magmom_total_mub_per_fu=0.0 pbc="T T T"
O 0.901 0.152 7.948
O -4.468 3.047 7.069
Li 0.335 -3.331 8.202
Co -3.211 2.158 5.659
Li -1.124 -0.080 7.811
O -2.003 1.757 7.494
O 3.415 -1.625 5.128
Nb -3.474 2.513 8.708
O 3.248 1.043 6.598
Co 2.158 -0.736 6.538
Nb -5.500 0.834 4.078
O -1.565 -1.322 6.226
O -4.301 0.378 5.599
Co -2.816 -0.613 4.518
Co 1.763 2.035 7.679
O 0.775 -2.089 9.787
Li -0.597 -0.791 1.712
Li 0.071 1.501 4.386
O -2.121 3.938 5.719
O -1.954 1.269 4.249
O 0.424 0.375 10.802
Nb -0.922 3.482 7.240
O 1.068 -2.516 6.478
O -1.477 1.047 1.395
O 0.512 2.743 5.971
Nb -2.948 1.803 2.610
O 0.951 -0.336 4.703
O -1.828 3.511 2.410



C | 28
Lattice="6.170 0.000 0.000 0.000 6.170 0.000 0.000 0.000 8.496" Properties=species:S:1:pos:R:3 comment="LiNbCoO4, relaxed, DFT GGA+U" spacegroup="No. 95" magmom_total_mub_per_fu=0.0 pbc="T T T"
Li 0.000 1.364 0.000
Li 0.000 4.805 4.248
Li 1.364 0.000 2.124
Li 4.805 0.000 6.372
Nb 1.317 3.085 2.124
Nb 3.085 1.317 0.000
Nb 3.085 4.852 4.248
Nb 4.852 3.085 6.372
Co 1.596 1.596 5.310
Co 1.596 4.574 7.434
Co 4.574 1.596 3.186
Co 4.574 4.574 1.062
O 0.101 1.626 2.161
O 0.101 4.543 2.087
O 1.626 0.101 8.459
O 1.626 6.068 4.285
O 1.638 2.975 0.135
O 1.638 3.194 4.113
O 2.975 1.638 1.989
O 2.975 4.532 2.259
O 3.194 1.638 6.507
O 3.194 4.532 6.237
O 4.532 2.975 8.361
O 4.532 3.194 4.383
O 4.543 0.101 0.037
O 4.543 6.068 4.211
O 6.068 1.626 6.335
O 6.068 4.543 6.409



Stability verdict: C, ahead by 30 meV/atom